No. 1
The following is a DFT calculation (PBE+U) of TaVO5 after structural relaxation.

## Properties
* corrected total energy (MP2020 scheme): -9.42 eV per atom
* symmetry: Pnma (62)
* formation energy from the elements: -2890 meV per atom
* energy above the most stable polymorph in this dataset: 0.0 kJ per mole of atoms

Cell lengths 12.0638, 5.6163, 7.0626 Å; angles 90.00, 90.00, 90.00 degrees
Last column: nearest neighbours and their distance in Å.
Positions (direct):
Ta (0.0586, 0.2500, 0.1566)  6 O 1.92-2.06
Ta (0.4414, 0.7500, 0.6566)  6 O 1.92-2.06
Ta (0.5586, 0.2500, 0.3434)  6 O 1.92-2.06
Ta (0.9414, 0.7500, 0.8434)  6 O 1.92-2.06
V (0.1544, 0.7500, 0.4699)  4 O 1.72-1.76
V (0.3456, 0.2500, 0.9699)  4 O 1.72-1.76
V (0.6544, 0.7500, 0.0301)  4 O 1.72-1.76
V (0.8456, 0.2500, 0.5301)  4 O 1.72-1.76
O (0.0000, 0.0000, 0.0000)  2 Ta 1.92
O (0.0000, 0.5000, 0.0000)  2 Ta 1.92
O (0.0758, 0.7500, 0.6776)  1 V 1.75
O (0.1237, 0.0011, 0.3403)  1 V 1.72
O (0.1237, 0.4989, 0.3403)  1 V 1.72
O (0.2038, 0.2500, 0.0282)  1 V 1.76
O (0.2962, 0.7500, 0.5282)  1 V 1.76
O (0.3763, 0.5011, 0.8403)  1 V 1.72
O (0.3763, 0.9989, 0.8403)  1 V 1.72
O (0.4242, 0.2500, 0.1776)  1 V 1.75
O (0.5000, 0.0000, 0.5000)  2 Ta 1.92
O (0.5000, 0.5000, 0.5000)  2 Ta 1.92
O (0.5758, 0.7500, 0.8224)  1 V 1.75
O (0.6237, 0.0011, 0.1597)  1 V 1.72
O (0.6237, 0.4989, 0.1597)  1 V 1.72
O (0.7038, 0.2500, 0.4718)  1 V 1.76
O (0.7962, 0.7500, 0.9718)  1 V 1.76
O (0.8763, 0.5011, 0.6597)  1 V 1.72
O (0.8763, 0.9989, 0.6597)  1 V 1.72
O (0.9242, 0.2500, 0.3224)  1 V 1.75

***

No. 2
The following is a DFT calculation (PBE+U) of MnOF after structural relaxation.

## Properties
* corrected total energy (MP2020 scheme): -7.68 eV per atom
* symmetry: Ama2 (40)
* formation energy from the elements: -2341 meV per atom

Cell lengths 12.6830, 4.6445, 4.6445 Å; angles 90.24, 90.00, 90.00 degrees
Last column: nearest neighbours and their distance in Å.
Positions (direct):
Mn (0.0000, 0.0000, 0.0000)  3 O 1.94-1.97, 1 F 1.99
Mn (0.1246, 0.5533, 0.5016)  3 O 1.93-1.98, 2 F 2.02-2.16
Mn (0.2500, 0.0500, 0.0674)  3 O 1.90-1.99, 1 F 1.99
Mn (0.3754, 0.5533, 0.5016)  3 O 1.93-1.98, 2 F 2.02-2.16
Mn (0.5000, 0.0000, 0.0000)  3 O 1.94-1.97, 1 F 1.99
Mn (0.6246, 0.5016, 0.5533)  3 O 1.93-1.98, 2 F 2.02-2.16
Mn (0.7500, 0.0674, 0.0500)  3 O 1.90-1.99, 1 F 1.99
Mn (0.8754, 0.5016, 0.5533)  3 O 1.93-1.98, 2 F 2.02-2.16
O (0.0000, 0.7037, 0.7037)  3 Mn 1.94-1.96
O (0.1225, 0.8464, 0.2087)  3 Mn 1.93-1.99
O (0.2500, 0.3626, 0.3312)  3 Mn 1.90-1.98
O (0.3775, 0.8464, 0.2087)  3 Mn 1.93-1.99
O (0.5000, 0.7037, 0.7037)  3 Mn 1.94-1.96
O (0.6225, 0.2087, 0.8464)  3 Mn 1.93-1.99
O (0.7500, 0.3312, 0.3626)  3 Mn 1.90-1.98
O (0.8775, 0.2087, 0.8464)  3 Mn 1.93-1.99
F (0.0000, 0.3043, 0.3043)  3 Mn 1.99-2.16
F (0.1314, 0.2514, 0.8132)  3 Mn 2.02-2.21
F (0.2500, 0.7703, 0.7409)  3 Mn 1.99-2.18
F (0.3686, 0.2514, 0.8132)  3 Mn 2.02-2.21
F (0.5000, 0.3043, 0.3043)  3 Mn 1.99-2.16
F (0.6314, 0.8132, 0.2514)  3 Mn 2.02-2.21
F (0.7500, 0.7409, 0.7703)  3 Mn 1.99-2.18
F (0.8686, 0.8132, 0.2514)  3 Mn 2.02-2.21

***

No. 3
The following is a DFT calculation (PBE+U) of Mn2ZnO4 after structural relaxation.

## Properties
* corrected total energy (MP2020 scheme): -7.58 eV per atom
* symmetry: Cm (8)
* formation energy from the elements: -1951 meV per atom
* energy above the most stable polymorph in this dataset: 3.0 kJ per mole of atoms

Cell lengths 6.2274, 6.2274, 14.9310 Å; angles 95.16, 95.16, 56.17 degrees
Last column: nearest neighbours and their distance in Å.
Positions (direct):
Mn (0.0000, 0.0000, 0.0000)  4 O 1.96-1.98
Mn (0.0007, 0.0007, 0.3772)  4 O 2.02-2.07
Mn (0.0059, 0.5064, 0.4993)  5 O 1.96-2.15
Mn (0.1642, 0.6631, 0.1668)  5 O 1.97-2.20
Mn (0.1661, 0.1661, 0.1661)  4 O 1.94-1.98
Mn (0.3346, 0.8347, 0.8333)  4 O 1.97
Mn (0.5029, 0.5029, 0.5015)  4 O 1.94-1.98
Mn (0.5064, 0.0059, 0.4993)  5 O 1.96-2.15
Mn (0.6631, 0.1642, 0.1668)  5 O 1.97-2.20
Mn (0.6705, 0.6705, 0.6669)  4 O 1.96-1.97
Mn (0.8347, 0.3346, 0.8333)  4 O 1.97
Mn (0.8347, 0.8347, 0.8337)  4 O 1.96-1.97
Zn (0.0045, 0.0045, 0.6239)  4 O 2.02-2.03
Zn (0.3342, 0.3342, 0.3322)  6 O 2.06-2.28
Zn (0.3344, 0.3344, 0.9578)  4 O 2.00-2.02
Zn (0.3349, 0.3349, 0.7094)  4 O 2.01-2.02
Zn (0.6665, 0.6665, 0.0432)  4 O 2.01-2.03
Zn (0.6673, 0.6673, 0.2872)  4 O 1.98-2.07
O (0.0079, 0.0079, 0.7593)  2 Mn 1.97, 1 Zn 2.02
O (0.0196, 0.4830, 0.2413)  1 Mn 1.94, 2 Zn 1.98-2.06
O (0.1457, 0.6960, 0.9144)  2 Mn 1.96-1.98, 1 Zn 2.01
O (0.1563, 0.1563, 0.9094)  2 Mn 1.97, 1 Zn 2.02
O (0.1825, 0.1825, 0.4260)  3 Mn 1.96-2.06
O (0.1858, 0.6446, 0.4270)  3 Mn 1.94-2.15, 1 Zn 2.09
O (0.3032, 0.8534, 0.0840)  2 Mn 1.96-1.98, 1 Zn 2.01
O (0.3312, 0.3312, 0.5749)  2 Mn 1.98, 1 Zn 2.01
O (0.3373, 0.3373, 0.0922)  2 Mn 1.97, 1 Zn 2.00
O (0.3682, 0.8191, 0.5817)  2 Mn 1.96-1.98, 1 Zn 2.02
O (0.4830, 0.0196, 0.2413)  1 Mn 1.94, 2 Zn 1.98-2.06
O (0.4870, 0.4870, 0.2427)  2 Mn 1.97, 1 Zn 2.02
O (0.5135, 0.5135, 0.7564)  2 Mn 1.97, 1 Zn 2.02
O (0.5245, 0.9732, 0.7520)  2 Mn 1.97, 1 Zn 2.01
O (0.6446, 0.1858, 0.4270)  3 Mn 1.94-2.15, 1 Zn 2.09
O (0.6617, 0.6617, 0.9069)  2 Mn 1.97, 1 Zn 2.03
O (0.6742, 0.6742, 0.4261)  2 Mn 1.99, 1 Zn 2.07
O (0.6960, 0.1457, 0.9144)  2 Mn 1.96-1.98, 1 Zn 2.01
O (0.8191, 0.3682, 0.5817)  2 Mn 1.96-1.98, 1 Zn 2.02
O (0.8248, 0.8248, 0.5770)  2 Mn 1.97, 1 Zn 2.03
O (0.8456, 0.8456, 0.0887)  2 Mn 1.97, 1 Zn 2.02
O (0.8534, 0.3032, 0.0840)  2 Mn 1.96-1.98, 1 Zn 2.01
O (0.9732, 0.5245, 0.7520)  2 Mn 1.97, 1 Zn 2.01
O (0.9956, 0.9956, 0.2384)  3 Mn 1.98-2.07

***

No. 4
The following is a DFT calculation (PBE+U) of Cr2P2O9 after structural relaxation.

## Properties
* corrected total energy (MP2020 scheme): -8.07 eV per atom
* symmetry: P2_1/m (11)
* formation energy from the elements: -2323 meV per atom

Cell lengths 7.7563, 6.3547, 13.7781 Å; angles 90.00, 90.04, 90.00 degrees
Last column: nearest neighbours and their distance in Å.
Positions (direct):
Cr (0.0000, 0.0000, 0.0000)  6 O 1.95-2.06
Cr (0.0000, 0.5000, 0.0000)  6 O 1.95-2.06
Cr (0.1511, 0.2500, 0.3817)  6 O 1.85-2.03
Cr (0.3486, 0.2500, 0.8817)  6 O 1.85-2.04
Cr (0.5000, 0.0000, 0.5000)  6 O 1.95-2.06
Cr (0.5000, 0.5000, 0.5000)  6 O 1.95-2.06
Cr (0.6514, 0.7500, 0.1183)  6 O 1.85-2.04
Cr (0.8489, 0.7500, 0.6183)  6 O 1.85-2.03
P (0.1066, 0.2500, 0.1922)  4 O 1.54-1.57
P (0.1523, 0.7500, 0.4379)  4 O 1.52-1.59
P (0.3476, 0.7500, 0.9379)  4 O 1.52-1.59
P (0.3934, 0.2500, 0.6922)  4 O 1.54-1.57
P (0.6066, 0.7500, 0.3078)  4 O 1.54-1.57
P (0.6524, 0.2500, 0.0621)  4 O 1.52-1.59
P (0.8477, 0.2500, 0.5621)  4 O 1.52-1.59
P (0.8934, 0.7500, 0.8078)  4 O 1.54-1.57
O (0.0155, 0.7500, 0.5189)  1 P 1.54
O (0.0302, 0.7500, 0.7250)  1 P 1.56
O (0.0949, 0.0504, 0.1290)  1 P 1.54
O (0.0949, 0.4496, 0.1290)  1 P 1.54
O (0.1390, 0.5540, 0.3752)  1 P 1.52
O (0.1390, 0.9460, 0.3752)  1 P 1.52
O (0.1454, 0.2500, 0.9516)  3 Cr 1.85-2.06
O (0.1617, 0.7500, 0.9860)  1 P 1.59
O (0.2263, 0.2500, 0.7558)  1 P 1.57
O (0.2739, 0.2500, 0.2561)  1 P 1.57
O (0.3383, 0.7500, 0.4860)  1 P 1.59
O (0.3546, 0.2500, 0.4517)  3 Cr 1.85-2.06
O (0.3607, 0.5541, 0.8752)  1 P 1.52
O (0.3607, 0.9459, 0.8752)  1 P 1.52
O (0.4052, 0.0504, 0.6290)  1 P 1.54
O (0.4052, 0.4496, 0.6290)  1 P 1.54
O (0.4698, 0.7500, 0.2249)  1 P 1.56
O (0.4846, 0.7500, 0.0188)  1 P 1.54
O (0.5154, 0.2500, 0.9812)  1 P 1.54
O (0.5302, 0.2500, 0.7751)  1 P 1.56
O (0.5948, 0.5504, 0.3710)  1 P 1.54
O (0.5948, 0.9496, 0.3710)  1 P 1.54
O (0.6393, 0.0541, 0.1248)  1 P 1.52
O (0.6393, 0.4459, 0.1248)  1 P 1.52
O (0.6454, 0.7500, 0.5483)  3 Cr 1.85-2.06
O (0.6617, 0.2500, 0.5140)  1 P 1.59
O (0.7261, 0.7500, 0.7439)  1 P 1.57
O (0.7737, 0.7500, 0.2442)  1 P 1.57
O (0.8383, 0.2500, 0.0140)  1 P 1.59
O (0.8546, 0.7500, 0.0484)  3 Cr 1.85-2.06
O (0.8610, 0.0540, 0.6248)  1 P 1.52
O (0.8610, 0.4460, 0.6248)  1 P 1.52
O (0.9051, 0.5504, 0.8710)  1 P 1.54
O (0.9051, 0.9496, 0.8710)  1 P 1.54
O (0.9698, 0.2500, 0.2750)  1 P 1.56
O (0.9845, 0.2500, 0.4811)  1 P 1.54

***

No. 5
The following is a DFT calculation (PBE+U) of KSrNdMnO6 after structural relaxation.

## Properties
* corrected total energy (MP2020 scheme): -6.97 eV per atom
* symmetry: Pnnn (48)
* formation energy from the elements: -2331 meV per atom
* energy above the most stable polymorph in this dataset: 0.0 kJ per mole of atoms

Cell lengths 8.4149, 8.4266, 8.4332 Å; angles 90.00, 90.00, 90.00 degrees
Last column: nearest neighbours and their distance in Å.
Positions (direct):
K (0.2500, 0.2500, 0.2500)  12 O 2.87-3.20
K (0.2500, 0.7500, 0.2500)  12 O 2.94-3.10
K (0.7500, 0.2500, 0.7500)  12 O 2.94-3.10
K (0.7500, 0.7500, 0.7500)  12 O 2.87-3.20
Sr (0.2500, 0.2500, 0.7500)  12 O 2.90-2.98
Sr (0.2500, 0.7500, 0.7500)  12 O 2.77-3.03
Sr (0.7500, 0.2500, 0.2500)  12 O 2.77-3.03
Sr (0.7500, 0.7500, 0.2500)  12 O 2.90-2.98
Nd (0.0000, 0.0000, 0.0000)  6 O 2.31-2.32
Nd (0.0000, 0.5000, 0.5000)  6 O 2.31-2.32
Nd (0.5000, 0.0000, 0.5000)  6 O 2.31-2.32
Nd (0.5000, 0.5000, 0.0000)  6 O 2.31-2.32
Mn (0.0000, 0.0000, 0.5000)  6 O 1.90-1.93
Mn (0.0000, 0.5000, 0.0000)  6 O 1.90-1.93
Mn (0.5000, 0.0000, 0.0000)  6 O 1.90-1.93
Mn (0.5000, 0.5000, 0.5000)  6 O 1.90-1.93
O (0.0031, 0.0114, 0.7263)  1 Mn 1.91
O (0.0031, 0.4886, 0.7737)  1 Mn 1.91
O (0.0096, 0.2251, 0.4909)  1 Mn 1.90
O (0.0096, 0.2749, 0.0091)  1 Mn 1.90
O (0.2271, 0.5107, 0.9744)  1 Mn 1.93
O (0.2271, 0.9893, 0.5256)  1 Mn 1.93
O (0.2729, 0.5107, 0.5256)  1 Mn 1.93
O (0.2729, 0.9893, 0.9744)  1 Mn 1.93
O (0.4904, 0.2251, 0.0091)  1 Mn 1.90
O (0.4904, 0.2749, 0.4909)  1 Mn 1.90
O (0.4969, 0.0114, 0.7737)  1 Mn 1.91
O (0.4969, 0.4886, 0.7263)  1 Mn 1.91
O (0.5031, 0.5114, 0.2737)  1 Mn 1.91
O (0.5031, 0.9886, 0.2263)  1 Mn 1.91
O (0.5096, 0.7251, 0.5091)  1 Mn 1.90
O (0.5096, 0.7749, 0.9909)  1 Mn 1.90
O (0.7271, 0.0107, 0.0256)  1 Mn 1.93
O (0.7271, 0.4893, 0.4744)  1 Mn 1.93
O (0.7729, 0.0107, 0.4744)  1 Mn 1.93
O (0.7729, 0.4893, 0.0256)  1 Mn 1.93
O (0.9904, 0.7251, 0.9909)  1 Mn 1.90
O (0.9904, 0.7749, 0.5091)  1 Mn 1.90
O (0.9969, 0.5114, 0.2263)  1 Mn 1.91
O (0.9969, 0.9886, 0.2737)  1 Mn 1.91